[1]
Compound: LiTiRh2
Source: the Materials Project database
Functional: r²SCAN
Structure: optimized geometry

## Properties
Calculated volume   13.37 Å³ per atom
Energy of formation   -0.6830 eV/atom
Final energy   -16.58 eV/atom

Cell: 4.2292 4.2292 4.2292 Å, 60.00 60.00 60.00°
With the nearest neighbours (Å) after each atom.
Fractional coordinates of all 4 atoms:
Li1 0.2500 0.2500 0.2500  8 Rh 2.59
Rh1 0.5000 0.5000 0.5000  4 Li 2.59, 4 Ti 2.59
Rh2 0.0000 0.0000 0.0000  4 Ti 2.59, 4 Li 2.59
Ti1 0.7500 0.7500 0.7500  8 Rh 2.59



[2]
Compound: LiTm2Rh
Source: the Materials Project database
Functional: r²SCAN
Structure: optimized geometry

## Properties
Calculated volume   19.99 Å³ per atom
Energy of formation   -0.5716 eV/atom
Final energy   -24.76 eV/atom

Cell: 4.8355 4.8355 4.8355 Å, 60.00 60.00 60.00°
With the nearest neighbours (Å) after each atom.
Fractional coordinates of all 4 atoms:
Tm1 0.5000 0.5000 0.5000  4 Rh 2.96, 4 Li 2.96
Tm2 0.0000 0.0000 0.0000  4 Li 2.96, 4 Rh 2.96
Rh1 0.7500 0.7500 0.7500  8 Tm 2.96
Li1 0.2500 0.2500 0.2500  8 Tm 2.96



[3]
Compound: LiTmRh2
Source: the Materials Project database
Functional: r²SCAN
Structure: optimized geometry

## Properties
Calculated volume   15.67 Å³ per atom
Energy of formation   -0.5901 eV/atom
Final energy   -22.04 eV/atom

Cell: 4.4583 4.4583 4.4583 Å, 60.00 60.00 60.00°
With the nearest neighbours (Å) after each atom.
Fractional coordinates of all 4 atoms:
Rh1 0.5000 0.5000 0.5000  4 Tm 2.73, 4 Li 2.73
Rh2 0.0000 0.0000 0.0000  4 Tm 2.73, 4 Li 2.73
Li1 0.2500 0.2500 0.2500  8 Rh 2.73
Tm1 0.7500 0.7500 0.7500  8 Rh 2.73



[4]
Compound: LiVRh2
Source: the Materials Project database
Functional: r²SCAN
Structure: optimized geometry

## Properties
Calculated volume   12.65 Å³ per atom
Energy of formation   -0.4574 eV/atom
Final energy   -16.64 eV/atom

Cell: 4.1515 4.1515 4.1515 Å, 60.00 60.00 60.00°
With the nearest neighbours (Å) after each atom.
Fractional coordinates of all 4 atoms:
V1 0.7500 0.7500 0.7500  8 Rh 2.54
Rh1 0.5000 0.5000 0.5000  4 Li 2.54, 4 V 2.54
Rh2 0.0000 0.0000 0.0000  4 V 2.54, 4 Li 2.54
Li1 0.2500 0.2500 0.2500  8 Rh 2.54



[5]
Compound: LiYb2Rh
Source: the Materials Project database
Functional: r²SCAN
Structure: optimized geometry

## Properties
Calculated volume   19.73 Å³ per atom
Energy of formation   -0.5962 eV/atom
Final energy   -25.49 eV/atom

Cell: 4.8144 4.8144 4.8144 Å, 60.00 60.00 60.00°
With the nearest neighbours (Å) after each atom.
Fractional coordinates of all 4 atoms:
Yb1 0.7500 0.7500 0.7500  4 Li 2.95, 4 Rh 2.95
Yb2 0.2500 0.2500 0.2500  4 Rh 2.95, 4 Li 2.95
Li1 0.5000 0.5000 0.5000  8 Yb 2.95
Rh1 0.0000 0.0000 0.0000  8 Yb 2.95



[6]
Compound: LiSm2Ru
Source: the Materials Project database
Functional: r²SCAN
Structure: optimized geometry

## Properties
Calculated volume   21.93 Å³ per atom
Energy of formation   -0.2059 eV/atom
Final energy   -22.03 eV/atom

Cell: 4.9876 4.9876 4.9876 Å, 60.00 60.00 60.00°
With the nearest neighbours (Å) after each atom.
Fractional coordinates of all 4 atoms:
Sm1 0.0000 0.0000 0.0000  4 Li 3.05, 4 Ru 3.05
Sm2 0.5000 0.5000 0.5000  4 Li 3.05, 4 Ru 3.05
Ru1 0.7500 0.7500 0.7500  8 Sm 3.05
Li1 0.2500 0.2500 0.2500  8 Sm 3.05



[7]
Compound: LiY2Ru
Source: the Materials Project database
Functional: r²SCAN
Structure: optimized geometry

## Properties
Calculated volume   21.02 Å³ per atom
Energy of formation   -0.2463 eV/atom
Final energy   -17.36 eV/atom

Cell: 4.9175 4.9175 4.9175 Å, 60.00 60.00 60.00°
With the nearest neighbours (Å) after each atom.
Fractional coordinates of all 4 atoms:
Ru1 0.7500 0.7500 0.7500  8 Y 3.01
Li1 0.2500 0.2500 0.2500  8 Y 3.01
Y1 0.5000 0.5000 0.5000  4 Ru 3.01, 4 Li 3.01
Y2 0.0000 0.0000 0.0000  4 Li 3.01, 4 Ru 3.01



[8]
Compound: Li2S
Source: the Materials Project database
Functional: r²SCAN
Structure: optimized geometry

## Properties
Calculated volume   14.24 Å³ per atom
Energy of formation   -1.4643 eV/atom
Distance to the lowest polymorph of the same formula   0.18 eV/f.u.
Final energy   -5.73 eV/atom

Cell: 3.7911 6.2662 7.1937 Å, 90.00 90.00 90.00°
With the nearest neighbours (Å) after each atom.
Fractional coordinates of all 12 atoms:
Li1 0.2500 0.3581 0.5715  4 S 2.39-2.44
Li2 0.7500 0.1419 0.0715  4 S 2.39-2.44
Li3 0.2500 0.8581 0.9285  4 S 2.39-2.44
Li4 0.2500 0.4790 0.1664  3 S 2.47-2.60
Li5 0.7500 0.6419 0.4285  4 S 2.39-2.44
Li6 0.7500 0.0210 0.6664  3 S 2.47-2.60
Li7 0.7500 0.5210 0.8336  3 S 2.47-2.60
Li8 0.2500 0.9790 0.3336  3 S 2.47-2.60
S1 0.7500 0.7555 0.1096  7 Li 2.39-2.60
S2 0.7500 0.2555 0.3904  7 Li 2.39-2.60
S3 0.2500 0.2445 0.8904  7 Li 2.39-2.60
S4 0.2500 0.7445 0.6096  7 Li 2.39-2.60